## P
Below is a geometry-optimized MnNF3 structure, with properties calculated at the GGA+U level.

```
MnNF3
1.0
3.9831 0.0000 0.0000
0.0000 3.9831 0.0000
0.0000 0.0000 3.9831
Mn N F
1 1 3
Direct
0.0000 0.0000 0.0000 Mn
0.5000 0.5000 0.5000 N
0.0000 0.0000 0.5000 F
0.0000 0.5000 0.0000 F
0.5000 0.0000 0.0000 F
```

## Q
Below is a geometry-optimized MnNF3 structure, with properties calculated at the GGA+U level.

```
MnNF3
1.0
5.7043 0.0000 0.0000
0.0000 7.9040 0.0000
0.0000 0.0000 5.7131
Mn N F
4 4 12
Direct
0.0000 0.0000 0.0000 Mn
0.0000 0.5000 0.0000 Mn
0.5000 0.0000 0.5000 Mn
0.5000 0.5000 0.5000 Mn
0.0016 0.2500 0.4985 N
0.4984 0.7500 0.9985 N
0.5016 0.2500 0.0015 N
0.9984 0.7500 0.5015 N
0.0014 0.2500 0.0116 F
0.2244 0.5061 0.2425 F
0.2244 0.9939 0.2425 F
0.2756 0.0061 0.7425 F
0.2756 0.4939 0.7425 F
0.4986 0.7500 0.5116 F
0.5014 0.2500 0.4884 F
0.7244 0.5061 0.2575 F
0.7244 0.9939 0.2575 F
0.7756 0.0061 0.7575 F
0.7756 0.4939 0.7575 F
0.9986 0.7500 0.9884 F
```

Least stable of them? P.

## P
Below is a geometry-optimized Mn3O5F structure, with properties calculated at the GGA+U level.

```
Mn3O5F
1.0
3.0077 0.0000 0.0000
0.0000 4.5357 0.0000
0.0000 0.0000 13.5999
Mn O F
6 10 2
Direct
0.0000 0.2251 0.0000 Mn
0.0000 0.2264 0.6795 Mn
0.0000 0.2691 0.3391 Mn
0.5000 0.7309 0.8391 Mn
0.5000 0.7736 0.1795 Mn
0.5000 0.7749 0.5000 Mn
0.0000 0.5486 0.9066 O
0.0000 0.5620 0.2365 O
0.0000 0.9338 0.7776 O
0.0000 0.9484 0.1093 O
0.0000 0.9556 0.4396 O
0.5000 0.0444 0.9396 O
0.5000 0.0516 0.6093 O
0.5000 0.0662 0.2776 O
0.5000 0.4380 0.7365 O
0.5000 0.4514 0.4066 O
0.0000 0.5513 0.5728 F
0.5000 0.4487 0.0728 F
```

## Q
Below is a geometry-optimized Mn3O5F structure, with properties calculated at the GGA+U level.

```
Mn3O5F
1.0
5.4589 0.0000 0.0000
0.0000 4.5504 0.0000
-0.4737 0.0000 7.5074
Mn O F
6 10 2
Direct
0.0743 0.0000 0.3358 Mn
0.2500 0.5336 0.9895 Mn
0.4100 0.0333 0.6637 Mn
0.5900 0.5333 0.3363 Mn
0.7500 0.0336 0.0105 Mn
0.9257 0.5000 0.6642 Mn
0.0446 0.8250 0.1019 O
0.1194 0.2139 0.5591 O
0.2127 0.7148 0.7647 O
0.3766 0.8287 0.4352 O
0.4536 0.2158 0.8994 O
0.5464 0.7158 0.1006 O
0.6234 0.3287 0.5648 O
0.7873 0.2148 0.2353 O
0.8806 0.7139 0.4409 O
0.9554 0.3250 0.8981 O
0.2809 0.3240 0.2300 F
0.7191 0.8240 0.7700 F
```

Least stable of them? Q.

## P
Below is a geometry-optimized Mn12O5F19 structure, with properties calculated at the GGA+U level.

```
Mn12O5F19
1.0
4.8735 0.0000 0.0000
0.0646 5.8628 0.0000
0.1371 0.2044 15.9029
Mn O F
12 5 19
Direct
0.0000 0.0000 0.0000 Mn
0.0014 0.0195 0.6729 Mn
0.0151 0.6833 0.1670 Mn
0.0409 0.6792 0.8403 Mn
0.4685 0.5225 0.0067 Mn
0.4876 0.2097 0.1698 Mn
0.4951 0.2154 0.8356 Mn
0.5015 0.5263 0.6708 Mn
0.5039 0.2144 0.5074 Mn
0.5217 0.5406 0.3426 Mn
0.9598 0.6886 0.5055 Mn
0.9931 0.0029 0.3416 Mn
0.2161 0.7278 0.9489 O
0.2810 0.4722 0.1110 O
0.2987 0.4783 0.7806 O
0.7029 0.4847 0.5620 O
0.7836 0.7515 0.3994 O
0.2062 0.7322 0.6112 F
0.2252 0.9688 0.4577 F
0.2255 0.9733 0.1149 F
0.2376 0.7509 0.2797 F
0.2469 0.9702 0.7798 F
0.2588 0.4690 0.4466 F
0.2633 0.2348 0.9442 F
0.2650 0.2419 0.2868 F
0.2694 0.2517 0.6189 F
0.7151 0.4823 0.9029 F
0.7234 0.2501 0.0530 F
0.7334 0.2477 0.3937 F
0.7334 0.2530 0.7280 F
0.7379 0.4635 0.2285 F
0.7525 0.9748 0.5676 F
0.7573 0.7511 0.0625 F
0.7669 0.9661 0.2247 F
0.7729 0.9754 0.8846 F
0.7925 0.7303 0.7336 F
```

## Q
Below is a geometry-optimized Mn12O5F19 structure, with properties calculated at the GGA+U level.

```
Mn12O5F19
1.0
4.8555 0.0000 0.0000
0.1011 5.8335 0.0000
0.0544 0.1681 15.9683
Mn O F
12 5 19
Direct
0.0000 0.0000 0.0000 Mn
0.0031 0.9923 0.3312 Mn
0.4685 0.5146 0.3362 Mn
0.4729 0.8274 0.1755 Mn
0.4827 0.8214 0.8382 Mn
0.4900 0.5243 0.6717 Mn
0.5031 0.5131 0.0026 Mn
0.5089 0.8482 0.5068 Mn
0.9420 0.9929 0.6710 Mn
0.9631 0.3290 0.1576 Mn
0.9818 0.3102 0.5076 Mn
0.9941 0.3243 0.8372 Mn
0.2698 0.7618 0.2869 O
0.2874 0.7730 0.9483 O
0.6818 0.7876 0.7276 O
0.7645 0.2855 0.0491 O
0.7718 0.0567 0.5655 O
0.1875 0.0337 0.7759 F
0.2127 0.0523 0.1117 F
0.2131 0.2803 0.2727 F
0.2184 0.2816 0.6238 F
0.2234 0.0615 0.4436 F
0.2440 0.7763 0.6115 F
0.2466 0.2704 0.9439 F
0.2558 0.5570 0.7830 F
0.2578 0.5442 0.4508 F
0.2699 0.5471 0.1097 F
0.7157 0.5426 0.2296 F
0.7199 0.5550 0.5595 F
0.7237 0.7693 0.3938 F
0.7258 0.5535 0.8944 F
0.7321 0.7754 0.0660 F
0.7423 0.2868 0.7305 F
0.7433 0.2770 0.3886 F
0.7633 0.0410 0.8903 F
0.7634 0.0532 0.2242 F
```

## R
Below is a geometry-optimized Mn12O5F19 structure, with properties calculated at the GGA+U level.

```
Mn12O5F19
1.0
4.8816 0.0000 0.0000
-0.3389 5.8395 0.0000
-0.0034 -0.1727 15.9318
Mn O F
12 5 19
Direct
0.0000 0.0000 0.0000 Mn
0.0055 0.3182 0.8312 Mn
0.0137 0.3141 0.1604 Mn
0.0200 0.9945 0.6749 Mn
0.0305 0.0179 0.3367 Mn
0.0487 0.3313 0.4979 Mn
0.5036 0.8116 0.5003 Mn
0.5098 0.4878 0.3336 Mn
0.5179 0.4964 0.6580 Mn
0.5302 0.5240 0.9965 Mn
0.5377 0.8420 0.1642 Mn
0.5544 0.8350 0.8362 Mn
0.2347 0.2793 0.3954 O
0.3028 0.5477 0.5507 O
0.7394 0.7951 0.9413 O
0.8031 0.0482 0.7812 O
0.8093 0.0490 0.1030 O
0.2395 0.0476 0.8974 F
0.2556 0.2841 0.7265 F
0.2570 0.2720 0.0481 F
0.2602 0.0414 0.5650 F
0.2621 0.0644 0.2236 F
0.2837 0.7696 0.0562 F
0.2898 0.5551 0.2176 F
0.2961 0.5575 0.8801 F
0.2970 0.7830 0.3862 F
0.3226 0.7904 0.7298 F
0.7510 0.5526 0.1116 F
0.7509 0.7837 0.6074 F
0.7574 0.7785 0.2799 F
0.7591 0.5479 0.7682 F
0.7590 0.5648 0.4418 F
0.7830 0.0564 0.4521 F
0.7866 0.2683 0.2741 F
0.7929 0.2979 0.9412 F
0.8246 0.2889 0.6048 F
```

## S
Below is a geometry-optimized Mn12O5F19 structure, with properties calculated at the GGA+U level.

```
Mn12O5F19
1.0
5.2725 0.0000 0.0000
0.8077 5.3703 0.0000
0.9139 1.5648 15.4941
Mn O F
12 5 19
Direct
0.0000 0.0000 0.0000 Mn
0.0039 0.4161 0.8354 Mn
0.0304 0.5112 0.1764 Mn
0.0633 0.4932 0.5099 Mn
0.4362 0.9515 0.4902 Mn
0.4516 0.9248 0.1602 Mn
0.4686 0.4971 0.0205 Mn
0.4918 0.9107 0.8372 Mn
0.5274 0.4827 0.3544 Mn
0.5529 0.5308 0.6806 Mn
0.9470 0.9573 0.6761 Mn
0.9578 0.9921 0.3385 Mn
0.2064 0.1206 0.8881 O
0.2245 0.7372 0.0839 O
0.3221 0.6833 0.4304 O
0.6252 0.1471 0.4095 O
0.7658 0.6897 0.7768 O
0.1220 0.1916 0.4251 F
0.1937 0.2567 0.0710 F
0.2114 0.3983 0.7309 F
0.2341 0.1661 0.2429 F
0.2414 0.7487 0.5891 F
0.2535 0.6159 0.9091 F
0.2876 0.6576 0.2611 F
0.2967 0.8751 0.7393 F
0.3513 0.2198 0.5684 F
0.6828 0.8630 0.9406 F
0.6916 0.1345 0.0822 F
0.7160 0.6107 0.0992 F
0.7184 0.1901 0.7671 F
0.7329 0.7987 0.5872 F
0.7612 0.3618 0.9335 F
0.7652 0.3525 0.2630 F
0.7749 0.8388 0.2428 F
0.8162 0.6584 0.4123 F
0.8328 0.3074 0.6031 F
```

Least stable of them? S.